# 1
Mg2Ti: relaxed, PBE.

Total DFT energy (no corrections), eV/atom: -3.56
Magnetization, μB/f.u.: 0.00

Cell lengths 11.6750, 2.9570, 7.4481 Å; angles 90.00, 105.24, 90.00 degrees
With the nearest neighbours (Å) after each atom.
Space group Cm (No. 8)
Symmetry-distinct sites (fractional):
1 Mg 0.0000 0.0000 0.0000 x2  7 Mg 2.96-3.12, 5 Ti 3.03-3.19
2 Mg 0.0573 0.0000 0.6163 x2  8 Mg 2.96-3.15, 4 Ti 3.28
3 Mg 0.1639 0.5000 0.3257 x2  8 Mg 2.96-3.14, 4 Ti 2.96-3.24
4 Mg 0.3297 0.0000 0.6658 x2  9 Mg 2.96-3.15, 3 Ti 3.15-3.24
5 Ti 0.2367 0.5000 0.9737 x2  4 Ti 2.74-2.96, 2 Mg 2.96-3.03
6 Ti 0.3783 0.0000 0.2569 x2  4 Ti 2.74-2.96, 4 Mg 3.05-3.06

# 2
MgTi: relaxed, PBE.

Total DFT energy (no corrections), eV/atom: -4.60
Magnetization, μB/f.u.: 0.00

Cell lengths 6.2245, 4.8007, 8.0933 Å; angles 90.00, 100.97, 90.00 degrees
With the nearest neighbours (Å) after each atom.
Space group P2_1/m (No. 11)
Symmetry-distinct sites (fractional):
1 Mg 0.0280 0.2500 0.1129 x2  4 Mg 3.00-3.06, 8 Ti 3.01-3.12
2 Mg 0.1429 0.7500 0.5571 x2  7 Mg 3.02-3.17, 5 Ti 3.07-3.34
3 Mg 0.3653 0.2500 0.4383 x2  7 Mg 2.99-3.17, 5 Ti 3.08-3.20
4 Ti 0.2321 0.2500 0.7979 x2  4 Ti 2.73-2.87, 3 Mg 3.06
5 Ti 0.3279 0.7500 0.1966 x2  4 Ti 2.72-2.88, 3 Mg 3.01-3.04
6 Ti 0.4745 0.7500 0.9012 x2  8 Ti 2.72-2.88

# 3
Mg2Ti: relaxed, PBE.

Total DFT energy (no corrections), eV/atom: -3.50
Magnetization, μB/f.u.: 1.98

Cell lengths 5.3213, 5.3213, 5.0854 Å; angles 90.00, 90.00, 120.00 degrees
With the nearest neighbours (Å) after each atom.
Space group P-62m (No. 189)
Symmetry-distinct sites (fractional):
1 Mg 0.0000 0.0000 0.0000 x1  6 Ti 3.07, 6 Mg 3.13
2 Mg 0.0000 0.6574 0.5000 x3  8 Mg 3.03-3.16, 4 Ti 3.09
3 Ti 0.3333 0.6667 0.0000 x2  9 Mg 3.07-3.09, 3 Ti 3.07

# 4
Mg2Ti: relaxed, PBE.

Total DFT energy (no corrections), eV/atom: -3.59
Magnetization, μB/f.u.: 0.04

Cell lengths 8.3444, 4.8545, 12.4311 Å; angles 90.00, 100.91, 90.00 degrees
With the nearest neighbours (Å) after each atom.
Space group P2_1/m (No. 11)
Symmetry-distinct sites (fractional):
1 Mg 0.0564 0.2500 0.3201 x2  9 Mg 3.04-3.14, 3 Ti 3.12-3.38
2 Mg 0.0587 0.2500 0.0722 x2  10 Mg 3.04-3.22, 2 Ti 3.34-3.37
3 Mg 0.0600 0.2500 0.5696 x2  8 Mg 3.04-3.25, 4 Ti 3.08-3.37
4 Mg 0.0641 0.2500 0.8187 x2  9 Mg 3.04-3.24, 3 Ti 3.06
5 Mg 0.2822 0.7500 0.1001 x2  8 Mg 3.04-3.24, 4 Ti 3.08-3.39
6 Mg 0.2862 0.7500 0.3465 x2  8 Mg 3.02-3.25, 4 Ti 3.08-3.37
7 Mg 0.3886 0.2500 0.4877 x2  7 Mg 3.02-3.14, 5 Ti 3.10-3.21
8 Mg 0.3897 0.2500 0.9853 x2  7 Mg 3.03-3.15, 5 Ti 3.09-3.19
9 Ti 0.2893 0.7500 0.6182 x2  4 Ti 2.61-2.88
10 Ti 0.2899 0.7500 0.8286 x2  4 Ti 2.61-2.86
11 Ti 0.3871 0.2500 0.7367 x2  6 Ti 2.86-2.89, 6 Mg 3.06-3.10
12 Ti 0.4221 0.2500 0.2402 x2  4 Ti 2.70-2.89

# 5
MgTi: relaxed, PBE.

Total DFT energy (no corrections), eV/atom: -4.49
Magnetization, μB/f.u.: 0.00

Cell lengths 3.3559, 3.3559, 3.3559 Å; angles 90.00, 90.00, 90.00 degrees
With the nearest neighbours (Å) after each atom.
Space group Pm-3m (No. 221)
Symmetry-distinct sites (fractional):
1 Mg 0.0000 0.0000 0.0000 x1  8 Ti 2.91
2 Ti 0.5000 0.5000 0.5000 x1  8 Mg 2.91

# 6
MgTi: relaxed, PBE.

Total DFT energy (no corrections), eV/atom: -4.63
Magnetization, μB/f.u.: 0.04

Cell lengths 10.9265, 2.9703, 7.4496 Å; angles 90.00, 104.41, 90.00 degrees
With the nearest neighbours (Å) after each atom.
Space group Cm (No. 8)
Symmetry-distinct sites (fractional):
1 Mg 0.0000 0.0000 0.0000 x2  6 Ti 2.95-3.01, 6 Mg 2.97-3.14
2 Mg 0.1080 0.5000 0.7085 x2  7 Mg 2.95-3.10, 5 Ti 3.14-3.26
3 Mg 0.3301 0.0000 0.6563 x2  7 Mg 2.95-3.14, 4 Ti 3.10-3.11
4 Ti 0.1640 0.5000 0.3145 x2  7 Ti 2.83-2.98, 5 Mg 2.97-3.14
5 Ti 0.2787 0.0000 0.0767 x2  6 Ti 2.81-2.97, 3 Mg 2.96-3.01
6 Ti 0.4375 0.5000 0.3629 x2  7 Ti 2.81-2.98, 5 Mg 2.95-3.15

# 7
Mg3Ti: relaxed, PBE.

Total DFT energy (no corrections), eV/atom: -2.96
Magnetization, μB/f.u.: 0.00

Cell lengths 6.9096, 6.9096, 6.9096 Å; angles 90.00, 90.00, 90.00 degrees
With the nearest neighbours (Å) after each atom.
Space group Fm-3m (No. 225)
Symmetry-distinct sites (fractional):
1 Mg 0.0000 0.0000 0.0000 x4  8 Mg 2.99
2 Mg 0.2500 0.2500 0.2500 x8  4 Mg 2.99, 4 Ti 2.99
3 Ti 0.0000 0.0000 0.5000 x4  8 Mg 2.99

# 8
MgTi: relaxed, PBE.

Total DFT energy (no corrections), eV/atom: -4.50
Magnetization, μB/f.u.: 1.15

Cell lengths 5.2480, 4.9024, 6.0573 Å; angles 90.00, 90.00, 90.00 degrees
With the nearest neighbours (Å) after each atom.
Space group Pnma (No. 62)
Symmetry-distinct sites (fractional):
1 Mg 0.0837 0.2500 0.1252 x4  8 Ti 3.01-3.04, 4 Mg 3.01-3.03
2 Ti 0.0846 0.2500 0.6257 x4  8 Mg 3.01-3.04, 4 Ti 3.02-3.03

# 9
MgTi5: relaxed, PBE.

Energy above the most stable polymorph in this dataset, meV per atom: 23
Total DFT energy (no corrections), eV/atom: -6.76
Magnetization, μB/f.u.: 0.00

Cell lengths 10.9532, 2.9103, 7.0072 Å; angles 90.00, 104.74, 90.00 degrees
With the nearest neighbours (Å) after each atom.
Space group Cm (No. 8)
Symmetry-distinct sites (fractional):
1 Mg 0.0000 0.0000 0.0000 x2  2 Mg 2.91, 10 Ti 2.91-3.05
2 Ti 0.1077 0.5000 0.7029 x2  10 Ti 2.85-3.06, 2 Mg 3.02
3 Ti 0.1714 0.5000 0.3323 x2  10 Ti 2.85-3.04, 2 Mg 2.97
4 Ti 0.2723 0.0000 0.0508 x2  9 Ti 2.89-3.01, 3 Mg 2.91-2.99
5 Ti 0.3226 0.0000 0.6574 x2  10 Ti 2.85-3.06, 2 Mg 3.05
6 Ti 0.4400 0.5000 0.3913 x2  11 Ti 2.86-3.04, 1 Mg 2.98

# 10
Mg149Ti: relaxed, PBE.

Total DFT energy (no corrections), eV/atom: -1.66
Magnetization, μB/f.u.: 2.65

Cell lengths 15.9045, 15.9045, 15.5838 Å; angles 90.00, 90.00, 120.00 degrees
With the nearest neighbours (Å) after each atom.
Space group P-6m2 (No. 187)
Symmetry-distinct sites (fractional):
1 Mg 0.0000 0.0000 0.0000 x1  12 Mg 3.18
2 Mg 0.0000 0.0000 0.3337 x2  12 Mg 3.18
3 Mg 0.0004 0.1999 0.0000 x6  12 Mg 3.17-3.19
4 Mg 0.0003 0.2004 0.3333 x12  12 Mg 3.18-3.19
5 Mg 0.0000 0.4005 0.3335 x12  12 Mg 3.17-3.21
6 Mg 0.0005 0.4002 0.0000 x6  12 Mg 3.17-3.20
7 Mg 0.1334 0.2668 0.1666 x6  12 Mg 3.18-3.19
8 Mg 0.1333 0.2666 0.5000 x3  12 Mg 3.17-3.22
9 Mg 0.1335 0.0668 0.1669 x6  12 Mg 3.18
10 Mg 0.1338 0.0669 0.5000 x3  12 Mg 3.18-3.19
11 Mg 0.1337 0.4673 0.1680 x12  12 Mg 3.17-3.22
12 Mg 0.1369 0.4707 0.5000 x6  11 Mg 3.11-3.22, 1 Ti 3.12
13 Mg 0.2002 0.4004 0.0000 x3  12 Mg 3.17-3.20
14 Mg 0.2001 0.4002 0.3341 x6  12 Mg 3.17-3.19
15 Mg 0.2001 0.6001 0.0000 x3  12 Mg 3.18-3.19
16 Mg 0.2026 0.6013 0.3371 x6  11 Mg 3.11-3.22, 1 Ti 3.11
17 Mg 0.3331 0.0650 0.5000 x6  12 Mg 3.17-3.23
18 Mg 0.3333 0.0665 0.1669 x12  12 Mg 3.18-3.19
19 Mg 0.3333 0.6667 0.1666 x2  12 Mg 3.17-3.21
20 Mg 0.3992 0.1996 0.0000 x3  12 Mg 3.18-3.19
21 Mg 0.4000 0.2000 0.3335 x6  12 Mg 3.18-3.19
22 Mg 0.5332 0.0664 0.5000 x3  12 Mg 3.17-3.20
23 Mg 0.5335 0.0669 0.1664 x6  12 Mg 3.17-3.18
24 Mg 0.5332 0.2666 0.1665 x6  12 Mg 3.18
25 Mg 0.5332 0.2666 0.5000 x3  12 Mg 3.18-3.19
26 Mg 0.5998 0.1996 0.0000 x3  12 Mg 3.17-3.19
27 Mg 0.6001 0.2001 0.3333 x6  12 Mg 3.18
28 Ti 0.3333 0.6667 0.5000 x1  12 Mg 3.11-3.12

# 11
MgTi: relaxed, PBE.

Total DFT energy (no corrections), eV/atom: -4.57
Magnetization, μB/f.u.: 0.31

Cell lengths 4.8842, 2.9954, 15.9401 Å; angles 90.00, 90.00, 90.00 degrees
With the nearest neighbours (Å) after each atom.
Space group Amm2 (No. 38)
Symmetry-distinct sites (fractional):
1 Mg 0.0000 0.0000 0.0000 x2  8 Ti 2.91-2.96, 4 Mg 3.00-3.05
2 Mg 0.0000 0.0000 0.3336 x2  8 Mg 3.00-3.05, 4 Ti 3.14-3.19
3 Mg 0.5000 0.0000 0.7734 x2  6 Mg 3.00-3.02, 6 Ti 3.07-3.29
4 Ti 0.0000 0.0000 0.6567 x2  6 Mg 2.91-3.19, 6 Ti 2.98-3.00
5 Ti 0.5000 0.0000 0.1048 x2  8 Ti 2.79-3.00, 4 Mg 2.96-3.08
6 Ti 0.5000 0.0000 0.4570 x2  4 Ti 2.79-3.00, 4 Mg 2.95

# 12
Mg2Ti: relaxed, PBE.

Total DFT energy (no corrections), eV/atom: -3.47
Magnetization, μB/f.u.: 2.00

Cell lengths 9.5800, 5.3618, 4.8920 Å; angles 90.00, 90.00, 90.00 degrees
With the nearest neighbours (Å) after each atom.
Space group Cmcm (No. 63)
Symmetry-distinct sites (fractional):
1 Mg 0.1658 0.1648 0.2500 x8  7 Mg 3.02-3.18, 5 Ti 3.02-3.21
2 Ti 0.0000 0.3557 0.7500 x4  2 Ti 2.89, 10 Mg 3.02-3.21

# 13
MgTi: relaxed, PBE.

Total DFT energy (no corrections), eV/atom: -4.56
Magnetization, μB/f.u.: 0.18

Cell lengths 6.1382, 6.1382, 4.8368 Å; angles 90.00, 90.00, 120.00 degrees
With the nearest neighbours (Å) after each atom.
Space group P-6m2 (No. 187)
Symmetry-distinct sites (fractional):
1 Mg 0.0000 0.0000 0.0000 x1  6 Mg 3.04, 6 Ti 3.08
2 Mg 0.3457 0.1729 0.5000 x3  6 Mg 2.95-3.18, 6 Ti 3.04-3.07
3 Ti 0.0359 0.5180 0.0000 x3  4 Ti 2.74-2.89, 4 Mg 3.04
4 Ti 0.3333 0.6667 0.5000 x1  6 Ti 2.89, 6 Mg 3.07

# 14
MgTi: relaxed, PBE.

Total DFT energy (no corrections), eV/atom: -4.54
Magnetization, μB/f.u.: 0.54

Cell lengths 4.8664, 9.1742, 5.2432 Å; angles 90.00, 90.00, 90.00 degrees
With the nearest neighbours (Å) after each atom.
Space group Pmc2_1 (No. 26)
Symmetry-distinct sites (fractional):
1 Mg 0.0000 0.0839 0.0000 x2  9 Ti 2.93-2.99, 3 Mg 3.01-3.04
2 Mg 0.0000 0.4118 0.9914 x2  7 Mg 3.00-3.08, 5 Ti 3.02-3.24
3 Mg 0.5000 0.4088 0.3272 x2  6 Ti 2.99-3.29, 6 Mg 3.00-3.11
4 Ti 0.0000 0.2356 0.5057 x2  4 Ti 2.90-3.01, 8 Mg 2.93-3.24
5 Ti 0.5000 0.0728 0.3241 x2  7 Ti 2.81-3.08, 5 Mg 2.97-3.08
6 Ti 0.5000 0.2330 0.8077 x2  5 Ti 2.81-3.08, 5 Mg 2.97-3.09

# 15
MgTi: relaxed, PBE.

Total DFT energy (no corrections), eV/atom: -4.55
Magnetization, μB/f.u.: 0.63

Cell lengths 4.8827, 9.4296, 5.0981 Å; angles 90.00, 90.00, 90.00 degrees
With the nearest neighbours (Å) after each atom.
Space group Pmc2_1 (No. 26)
Symmetry-distinct sites (fractional):
1 Mg 0.0000 0.0836 0.0000 x2  7 Mg 2.99-3.18, 5 Ti 2.99-3.28
2 Mg 0.0000 0.2535 0.4945 x2  7 Ti 2.96-3.14, 5 Mg 2.99-3.18
3 Mg 0.5000 0.2554 0.8557 x2  8 Ti 2.99-3.16, 4 Mg 3.02-3.06
4 Ti 0.0000 0.4313 0.0160 x2  6 Ti 2.86-3.01, 5 Mg 2.96-3.14
5 Ti 0.5000 0.0800 0.3447 x2  3 Ti 2.96-3.24, 9 Mg 2.99-3.16
6 Ti 0.5000 0.4238 0.3597 x2  7 Ti 2.91-3.24, 5 Mg 2.99-3.02

# 16
Mg2Ti: relaxed, PBE.

Total DFT energy (no corrections), eV/atom: -3.55
Magnetization, μB/f.u.: 0.43

Cell lengths 3.0241, 3.0241, 15.3696 Å; angles 90.00, 90.00, 120.00 degrees
With the nearest neighbours (Å) after each atom.
Space group P6_3/mmc (No. 194)
Symmetry-distinct sites (fractional):
1 Mg 0.3333 0.6667 0.0864 x4  9 Mg 3.02-3.18, 3 Ti 3.06
2 Ti 0.3333 0.6667 0.7500 x2  6 Ti 3.02, 6 Mg 3.06

# 17
MgTi: relaxed, PBE.

Total DFT energy (no corrections), eV/atom: -4.60
Magnetization, μB/f.u.: 0.12

Cell lengths 4.8764, 5.9909, 10.5863 Å; angles 90.00, 90.00, 90.00 degrees
With the nearest neighbours (Å) after each atom.
Space group Pmmn (No. 59, origin choice 2)
Symmetry-distinct sites (fractional):
1 Mg 0.2500 0.0010 0.0859 x4  8 Mg 2.98-3.15, 4 Ti 3.06-3.28
2 Mg 0.2500 0.2500 0.3381 x2  10 Ti 2.90-3.00, 2 Mg 3.06
3 Mg 0.2500 0.2500 0.8244 x2  6 Ti 3.00-3.05, 6 Mg 3.02-3.15
4 Ti 0.2500 0.5093 0.5769 x4  8 Ti 2.84-3.11, 4 Mg 2.97-3.05
5 Ti 0.2500 0.7500 0.3453 x2  6 Ti 2.84-3.01, 6 Mg 3.00-3.13
6 Ti 0.2500 0.7500 0.8108 x2  2 Ti 2.87, 8 Mg 2.90-3.06